# 1
This record from the Materials Project describes a geometry-optimized La3Cr2N6 structure. The functional is r2SCAN.

Values from the calculation:
- ΔE_f (eV/atom) = -1.23
- SG = I4/mmm

a = 3.8508 Å, b = 3.8508 Å, c = 10.3849 Å
α = 100.68°, β = 100.68°, γ = 90.00°
With the nearest neighbours (Å) after each atom.
Atoms (fractional coordinates):
La  0.1798  0.1798  0.3597  9 N 2.53-2.74
La  0.8202  0.8202  0.6403  9 N 2.53-2.74
La  0.0000  0.0000  0.0000  8 N 2.59
Cr  0.6022  0.6022  0.2043  5 N 1.84-1.95
Cr  0.3978  0.3978  0.7957  5 N 1.84-1.95
N  0.6937  0.6937  0.3875  1 Cr 1.84
N  0.0864  0.5864  0.1728  2 Cr 1.95
N  0.9136  0.4136  0.8272  2 Cr 1.95
N  0.5864  0.0864  0.1728  2 Cr 1.95
N  0.4136  0.9136  0.8272  2 Cr 1.95
N  0.3063  0.3063  0.6125  1 Cr 1.84

# 2
This record from the Materials Project describes a geometry-optimized SmBiO4 structure. The functional is r2SCAN.

Values from the calculation:
- ΔE_f (eV/atom) = -2.18
- SG = C2/c

a = 5.6108 Å, b = 5.2977 Å, c = 6.7111 Å
α = 69.52°, β = 67.93°, γ = 96.16°
With the nearest neighbours (Å) after each atom.
Atoms (fractional coordinates):
Sm  0.3655  0.1171  0.7708  8 O 2.34-2.60
Sm  0.6379  0.8895  0.2262  8 O 2.34-2.60
Bi  0.1014  0.3529  0.2993  4 O 2.04-2.12
Bi  0.9020  0.6537  0.6978  4 O 2.04-2.12
O  0.6141  0.2841  0.9338  1 Bi 2.04
O  0.2688  0.0373  0.4440  2 Bi 2.12-2.31
O  0.7891  0.5238  0.4440  2 Bi 2.12-2.30
O  0.0494  0.2196  0.0632  1 Bi 2.04
O  0.9540  0.7872  0.9338  1 Bi 2.04
O  0.2143  0.4829  0.5530  2 Bi 2.12-2.30
O  0.7346  0.9693  0.5529  2 Bi 2.12-2.31
O  0.3893  0.7224  0.0632  1 Bi 2.04

# 3
This record from the Materials Project describes a geometry-optimized RuS2 structure. The functional is r2SCAN.

Values from the calculation:
- ΔE_f (eV/atom) = -0.69
- SG = Pa-3

a = 5.6306 Å, b = 5.6306 Å, c = 5.6306 Å
α = 90.00°, β = 90.00°, γ = 90.00°
With the nearest neighbours (Å) after each atom.
Atoms (fractional coordinates):
Ru  0.0000  0.5000  0.5000  6 S 2.36
Ru  0.5000  0.5000  0.0000  6 S 2.36
Ru  0.5000  0.0000  0.5000  6 S 2.36
Ru  0.0000  0.0000  0.0000  6 S 2.36
S  0.3882  0.1118  0.8882  1 S 2.18, 3 Ru 2.36
S  0.1118  0.8882  0.3882  1 S 2.18, 3 Ru 2.36
S  0.8882  0.3882  0.1118  1 S 2.18, 3 Ru 2.36
S  0.6118  0.6118  0.6118  1 S 2.18, 3 Ru 2.36
S  0.3882  0.3882  0.3882  1 S 2.18, 3 Ru 2.36
S  0.1118  0.6118  0.8882  1 S 2.18, 3 Ru 2.36
S  0.8882  0.1118  0.6118  1 S 2.18, 3 Ru 2.36
S  0.6118  0.8882  0.1118  1 S 2.18, 3 Ru 2.36

# 4
This record from the Materials Project describes a geometry-optimized ReAg2Cl6 structure. The functional is r2SCAN.

Values from the calculation:
- ΔE_f (eV/atom) = -0.69
- SG = R-3

a = 6.8491 Å, b = 6.8491 Å, c = 6.8491 Å
α = 57.90°, β = 57.90°, γ = 57.90°
With the nearest neighbours (Å) after each atom.
Atoms (fractional coordinates):
Re  0.5000  0.5000  0.5000  6 Cl 2.37
Ag  0.7684  0.7684  0.7684  3 Cl 2.57
Ag  0.2316  0.2316  0.2316  3 Cl 2.57
Cl  0.3803  0.1493  0.7300  1 Re 2.37, 1 Ag 2.57
Cl  0.1493  0.7300  0.3803  1 Re 2.37, 1 Ag 2.57
Cl  0.7300  0.3803  0.1493  1 Re 2.37, 1 Ag 2.57
Cl  0.2700  0.6197  0.8507  1 Re 2.37, 1 Ag 2.57
Cl  0.8507  0.2700  0.6197  1 Re 2.37, 1 Ag 2.57
Cl  0.6197  0.8507  0.2700  1 Re 2.37, 1 Ag 2.57

# 5
This record from the Materials Project describes a geometry-optimized Zr6Ga2Co structure. The functional is r2SCAN.

Values from the calculation:
- ΔE_f (eV/atom) = -0.42
- SG = P-62m

a = 7.8266 Å, b = 7.8266 Å, c = 3.3560 Å
α = 90.00°, β = 90.00°, γ = 120.00°
With the nearest neighbours (Å) after each atom.
Atoms (fractional coordinates):
Zr  0.2484  0.0000  0.0000  2 Co 2.57
Zr  0.7516  0.7516  0.0000  2 Co 2.57
Zr  0.0000  0.2484  0.0000  2 Co 2.57
Zr  0.0000  0.5948  0.5000  4 Ga 2.91, 1 Co 3.17, 6 Zr 3.19-3.24
Zr  0.4052  0.4052  0.5000  4 Ga 2.91, 1 Co 3.17, 6 Zr 3.19-3.24
Zr  0.5948  0.0000  0.5000  4 Ga 2.91, 1 Co 3.17, 6 Zr 3.19-3.24
Ga  0.3333  0.6667  0.0000  9 Zr 2.91-3.00
Ga  0.6667  0.3333  0.0000  9 Zr 2.91-3.00
Co  0.0000  0.0000  0.5000  6 Zr 2.57

# 6
This record from the Materials Project describes a geometry-optimized Ba3N2 structure. The functional is r2SCAN.

Values from the calculation:
- ΔE_f (eV/atom) = -0.44
- SG = Ia-3

a = 11.3606 Å, b = 11.3606 Å, c = 11.3606 Å
α = 109.47°, β = 109.47°, γ = 109.47°
With the nearest neighbours (Å) after each atom.
Atoms (fractional coordinates):
Ba  0.0473  0.2735  0.0014  4 N 2.68-2.97
Ba  0.9527  0.7265  0.9986  4 N 2.68-2.97
Ba  0.4527  0.4541  0.2261  4 N 2.68-2.97
Ba  0.7280  0.2265  0.2738  4 N 2.68-2.97
Ba  0.2735  0.0014  0.0473  4 N 2.68-2.97
Ba  0.5473  0.5459  0.7739  4 N 2.68-2.97
Ba  0.2720  0.7735  0.7262  4 N 2.68-2.97
Ba  0.7265  0.9986  0.9527  4 N 2.68-2.97
Ba  0.7720  0.0459  0.4986  4 N 2.68-2.97
Ba  0.4541  0.2261  0.4527  4 N 2.68-2.97
Ba  0.2280  0.9541  0.5014  4 N 2.68-2.97
Ba  0.5459  0.7739  0.5473  4 N 2.68-2.97
Ba  0.2265  0.2738  0.7280  4 N 2.68-2.97
Ba  0.7735  0.7262  0.2720  4 N 2.68-2.97
Ba  0.0459  0.4986  0.7720  4 N 2.68-2.97
Ba  0.9541  0.5014  0.2280  4 N 2.68-2.97
Ba  0.0014  0.0473  0.2735  4 N 2.68-2.97
Ba  0.9986  0.9527  0.7265  4 N 2.68-2.97
Ba  0.2738  0.7280  0.2265  4 N 2.68-2.97
Ba  0.7262  0.2720  0.7735  4 N 2.68-2.97
Ba  0.4986  0.7720  0.0459  4 N 2.68-2.97
Ba  0.5014  0.2280  0.9541  4 N 2.68-2.97
Ba  0.2262  0.4527  0.4541  4 N 2.68-2.97
Ba  0.7738  0.5473  0.5459  4 N 2.68-2.97
N  0.1890  0.9390  0.2500  6 Ba 2.68-2.97
N  0.8110  0.0610  0.7500  6 Ba 2.68-2.97
N  0.3110  0.5610  0.7500  6 Ba 2.68-2.97
N  0.9390  0.2500  0.1890  6 Ba 2.68-2.97
N  0.6890  0.4390  0.2500  6 Ba 2.68-2.97
N  0.0610  0.7500  0.8110  6 Ba 2.68-2.97
N  0.5610  0.7500  0.3110  6 Ba 2.68-2.97
N  0.4390  0.2500  0.6890  6 Ba 2.68-2.97
N  0.2500  0.1890  0.9390  6 Ba 2.68-2.97
N  0.7500  0.8110  0.0610  6 Ba 2.68-2.97
N  0.7500  0.3110  0.5610  6 Ba 2.68-2.97
N  0.2500  0.6890  0.4390  6 Ba 2.68-2.97
N  0.5000  0.5000  0.5000  6 Ba 2.80
N  0.0000  0.5000  0.0000  6 Ba 2.80
N  0.0000  0.0000  0.5000  6 Ba 2.80
N  0.5000  0.0000  0.0000  6 Ba 2.80

> Which value of ΔE_f does entry 3 give?

-0.69 eV/atom

What did the second record say?
This record from the Materials Project describes a geometry-optimized SmBiO4 structure. The functional is r2SCAN.

Values from the calculation:
- ΔE_f (eV/atom) = -2.18
- SG = C2/c

a = 5.6108 Å, b = 5.2977 Å, c = 6.7111 Å
α = 69.52°, β = 67.93°, γ = 96.16°
With the nearest neighbours (Å) after each atom.
Atoms (fractional coordinates):
Sm  0.3655  0.1171  0.7708  8 O 2.34-2.60
Sm  0.6379  0.8895  0.2262  8 O 2.34-2.60
Bi  0.1014  0.3529  0.2993  4 O 2.04-2.12
Bi  0.9020  0.6537  0.6978  4 O 2.04-2.12
O  0.6141  0.2841  0.9338  1 Bi 2.04
O  0.2688  0.0373  0.4440  2 Bi 2.12-2.31
O  0.7891  0.5238  0.4440  2 Bi 2.12-2.30
O  0.0494  0.2196  0.0632  1 Bi 2.04
O  0.9540  0.7872  0.9338  1 Bi 2.04
O  0.2143  0.4829  0.5530  2 Bi 2.12-2.30
O  0.7346  0.9693  0.5529  2 Bi 2.12-2.31
O  0.3893  0.7224  0.0632  1 Bi 2.04

> Among the records above, which one has the highest ΔE_f?

Zr6Ga2Co